A plane-wave DFT calculation with r2SCAN was carried out for a geometry-optimized Pa2BiTe structure.

M_tot (μB per cell): 4.67
Electronic total energy (Ha/atom): -2.2028

Cell lengths 5.431, 5.431, 5.431 Å; angles 60.00, 60.00, 60.00 degrees
Fractional coordinates of all 4 atoms:
Pa 0.250 0.250 0.250
Pa 0.750 0.750 0.750
Bi 0.000 0.000 0.000
Te 0.500 0.500 0.500

***

A plane-wave DFT calculation with r2SCAN was carried out for a geometry-optimized BiPt2Pb structure.

M_tot (μB per cell): 0.00
Electronic total energy (Ha/atom): -2.0117

Cell lengths 4.363, 4.363, 5.524 Å; angles 90.00, 90.00, 120.00 degrees
Fractional coordinates of all 4 atoms:
Bi 0.000 0.000 0.000
Pt 0.667 0.333 0.250
Pt 0.667 0.333 0.750
Pb 0.333 0.667 0.500

***

A plane-wave DFT calculation with r2SCAN was carried out for a geometry-optimized Bi2Pb3S6 structure.

M_tot (μB per cell): 0.00
Electronic total energy (Ha/atom): -1.1360

Cell lengths 7.109, 7.109, 21.116 Å; angles 92.62, 92.62, 33.48 degrees
Fractional coordinates of all 22 atoms:
Bi 0.097 0.097 0.135
Bi 0.359 0.359 0.451
Bi 0.641 0.641 0.549
Bi 0.903 0.903 0.865
Pb 0.077 0.077 0.365
Pb 0.176 0.176 0.765
Pb 0.366 0.366 0.046
Pb 0.634 0.634 0.954
Pb 0.824 0.824 0.235
Pb 0.923 0.923 0.635
S 0.000 0.000 0.000
S 0.000 0.000 0.500
S 0.183 0.183 0.250
S 0.265 0.265 0.897
S 0.269 0.269 0.581
S 0.436 0.436 0.337
S 0.466 0.466 0.163
S 0.534 0.534 0.837
S 0.564 0.564 0.663
S 0.731 0.731 0.419
S 0.735 0.735 0.103
S 0.817 0.817 0.750

***

A plane-wave DFT calculation with r2SCAN was carried out for a geometry-optimized Bi4PbS7 structure.

M_tot (μB per cell): 0.00
Electronic total energy (Ha/atom): -1.0779

Cell lengths 6.999, 6.999, 12.220 Å; angles 104.68, 104.68, 33.37 degrees
Fractional coordinates of all 12 atoms:
Bi 0.000 0.000 0.000
Bi 0.581 0.581 0.409
Bi 0.691 0.691 0.849
Bi 0.823 0.823 0.273
Pb 0.351 0.351 0.634
S 0.041 0.041 0.799
S 0.223 0.223 0.374
S 0.349 0.349 0.881
S 0.432 0.432 0.198
S 0.644 0.644 0.061
S 0.707 0.707 0.630
S 0.966 0.966 0.475

***

> The lowest electronic total energy belongs to which entry?

Pa2BiTe

***

> Look up the electronic total energy of the third one.

-1.1360 Ha/atom

***

> Among the records above, which one has the highest M_tot?

Pa2BiTe